The following is a GGA-PBE calculation of a relaxed Na5Ta3TiSi6O24 crystal, from Materials Project.

a b c (Å): 8.984 8.979 22.530
angles (deg): 90.25 89.83 120.18
Sites, in units of the cell vectors:
Na: 0.369 0.364 0.248
Na: 0.992 0.629 0.248
Na: 0.637 0.629 0.748
Na: 0.995 0.367 0.748
Na: 0.031 0.697 0.584
Na: 0.303 0.970 0.084
Na: 0.699 0.032 0.918
Na: 0.970 0.296 0.415
Na: 0.328 0.033 0.415
Na: 0.993 0.999 0.497
Na: 0.000 0.000 0.001
Na: 0.660 0.332 0.832
Na: 0.667 0.333 0.329
Na: 0.340 0.668 0.165
Na: 0.340 0.673 0.666
Ta: 0.005 0.001 0.854
Ta: 0.000 0.004 0.645
Ta: 0.995 0.000 0.145
Ta: 0.668 0.338 0.979
Ta: 0.667 0.337 0.480
Ta: 0.332 0.662 0.022
Ta: 0.338 0.667 0.522
Ta: 0.336 0.670 0.312
Ta: 0.333 0.670 0.813
Ti: 0.996 0.996 0.351
Ti: 0.661 0.327 0.686
Ti: 0.666 0.328 0.186
Si: 0.291 0.003 0.250
Si: 0.711 0.711 0.250
Si: 0.992 0.284 0.251
Si: 0.295 0.288 0.750
Si: 0.001 0.711 0.749
Si: 0.709 0.003 0.750
Si: 0.952 0.331 0.584
Si: 0.380 0.047 0.584
Si: 0.663 0.619 0.586
Si: 0.953 0.619 0.085
Si: 0.670 0.048 0.083
Si: 0.382 0.336 0.085
Si: 0.621 0.663 0.916
Si: 0.044 0.378 0.916
Si: 0.331 0.956 0.918
Si: 0.628 0.955 0.417
Si: 0.334 0.377 0.416
Si: 0.042 0.670 0.417
O: 0.200 0.033 0.309
O: 0.839 0.807 0.307
O: 0.972 0.170 0.310
O: 0.195 0.167 0.807
O: 0.968 0.806 0.806
O: 0.831 0.033 0.809
O: 0.803 0.964 0.694
O: 0.162 0.197 0.693
O: 0.031 0.831 0.690
O: 0.804 0.835 0.193
O: 0.036 0.196 0.194
O: 0.166 0.964 0.192
O: 0.868 0.369 0.642
O: 0.504 0.141 0.641
O: 0.638 0.504 0.644
O: 0.865 0.503 0.144
O: 0.632 0.139 0.140
O: 0.497 0.363 0.144
O: 0.471 0.299 0.027
O: 0.833 0.528 0.027
O: 0.696 0.162 0.023
O: 0.468 0.163 0.524
O: 0.699 0.529 0.528
O: 0.836 0.304 0.525
O: 0.529 0.701 0.973
O: 0.168 0.473 0.973
O: 0.304 0.837 0.977
O: 0.528 0.833 0.474
O: 0.301 0.473 0.473
O: 0.165 0.699 0.475
O: 0.132 0.631 0.359
O: 0.495 0.864 0.360
O: 0.364 0.498 0.358
O: 0.134 0.496 0.857
O: 0.366 0.862 0.861
O: 0.504 0.637 0.857
O: 0.032 0.844 0.410
O: 0.819 0.984 0.410
O: 0.163 0.188 0.411
O: 0.018 0.184 0.910
O: 0.161 0.974 0.910
O: 0.808 0.841 0.909
O: 0.974 0.161 0.590
O: 0.186 0.019 0.590
O: 0.841 0.808 0.590
O: 0.982 0.816 0.090
O: 0.839 0.026 0.090
O: 0.193 0.159 0.091
O: 0.699 0.176 0.743
O: 0.486 0.317 0.744
O: 0.830 0.521 0.744
O: 0.691 0.521 0.245
O: 0.831 0.316 0.244
O: 0.478 0.176 0.244
O: 0.641 0.494 0.923
O: 0.851 0.351 0.923
O: 0.507 0.142 0.923
O: 0.640 0.144 0.423
O: 0.503 0.354 0.423
O: 0.857 0.491 0.423
O: 0.359 0.505 0.076
O: 0.148 0.648 0.077
O: 0.493 0.859 0.077
O: 0.351 0.851 0.577
O: 0.495 0.641 0.577
O: 0.141 0.507 0.576
O: 0.300 0.824 0.257
O: 0.518 0.687 0.257
O: 0.170 0.477 0.257
O: 0.307 0.478 0.756
O: 0.170 0.687 0.757
O: 0.523 0.824 0.756

Properties
E (MP2020) (eV per atom): -8.28
Energy of formation (meV per atom): -3115
SG: P1 (1)